1.
This record from Materials Project describes a relaxed Mg2TcO4 crystal. The functional is PBE.

```
data_Mg2TcO4
_chemical_formula_sum 'Mg4 Tc2 O8'
_symmetry_space_group_name_H-M 'P 1'
_symmetry_Int_Tables_number 1
_cell_length_a 6.1077
_cell_length_b 6.1077
_cell_length_c 6.1077
_cell_angle_alpha 120.56
_cell_angle_beta 119.32
_cell_angle_gamma 90.11
loop_
_symmetry_equiv_pos_as_xyz
'x,y,z'
loop_
_atom_site_label
_atom_site_type_symbol
_atom_site_fract_x
_atom_site_fract_y
_atom_site_fract_z
_atom_site_occupancy
O1 O 0.7524 0.7348 0.0176 1
O2 O 0.2476 0.2652 0.9824 1
O3 O 0.7532 0.7312 0.4781 1
O4 O 0.2171 0.7348 0.4824 1
O5 O 0.7829 0.2652 0.5176 1
O6 O 0.7532 0.2751 0.0219 1
O7 O 0.2468 0.7249 0.9781 1
O8 O 0.2468 0.2688 0.5219 1
Mg1 Mg 0.0000 0.5000 0.0000 1
Mg2 Mg 0.0000 0.0000 0.5000 1
Mg3 Mg 0.3872 0.1372 0.2500 1
Mg4 Mg 0.6128 0.8628 0.7500 1
Tc1 Tc 0.5000 0.5000 0.0000 1
Tc2 Tc 0.0000 0.5000 0.5000 1
```

Properties
Total magnetization (μB/f.u.): 2.97
Energy of formation (eV/atom): -2.499
Electronic total energy (Ry/atom): -0.505


2.
This record from Materials Project describes a relaxed BaTi4O7 crystal. The functional is PBE.

```
data_BaTi4O7
_chemical_formula_sum 'Ba2 Ti8 O14'
_symmetry_space_group_name_H-M 'P 1'
_symmetry_Int_Tables_number 1
_cell_length_a 6.6112
_cell_length_b 6.6112
_cell_length_c 10.5140
_cell_angle_alpha 90.00
_cell_angle_beta 90.00
_cell_angle_gamma 120.00
loop_
_symmetry_equiv_pos_as_xyz
'x,y,z'
loop_
_atom_site_label
_atom_site_type_symbol
_atom_site_fract_x
_atom_site_fract_y
_atom_site_fract_z
_atom_site_occupancy
O1 O 0.5080 0.4920 0.7248 1
O2 O 0.8544 0.1456 0.0197 1
O3 O 0.1456 0.8544 0.5197 1
O4 O 0.0000 0.0000 0.2576 1
O5 O 0.1456 0.2911 0.5197 1
O6 O 0.2911 0.1456 0.0197 1
O7 O 0.5080 0.0161 0.7248 1
O8 O 0.0000 0.0000 0.7576 1
O9 O 0.4920 0.5080 0.2248 1
O10 O 0.0161 0.5080 0.2248 1
O11 O 0.4920 0.9839 0.2248 1
O12 O 0.7089 0.8544 0.5197 1
O13 O 0.9839 0.4920 0.7248 1
O14 O 0.8544 0.7089 0.0197 1
Ti1 Ti 0.8116 0.1884 0.1926 1
Ti2 Ti 0.0000 0.0000 0.9433 1
Ti3 Ti 0.1884 0.8116 0.6926 1
Ti4 Ti 0.1884 0.3767 0.6926 1
Ti5 Ti 0.0000 0.0000 0.4433 1
Ti6 Ti 0.6233 0.8116 0.6926 1
Ti7 Ti 0.8116 0.6233 0.1926 1
Ti8 Ti 0.3767 0.1884 0.1926 1
Ba1 Ba 0.3333 0.6667 0.0418 1
Ba2 Ba 0.6667 0.3333 0.5418 1
```

Properties
Total magnetization (μB/f.u.): 2.00
Energy of formation (eV/atom): -3.001
Electronic total energy (Ry/atom): -0.608


3.
This record from Materials Project describes a relaxed Pb2SO5 crystal. The functional is PBE.

```
data_Pb2SO5
_chemical_formula_sum 'Pb4 S2 O10'
_symmetry_space_group_name_H-M 'P 1'
_symmetry_Int_Tables_number 1
_cell_length_a 7.5645
_cell_length_b 7.5645
_cell_length_c 7.1837
_cell_angle_alpha 67.14
_cell_angle_beta 67.14
_cell_angle_gamma 45.17
loop_
_symmetry_equiv_pos_as_xyz
'x,y,z'
loop_
_atom_site_label
_atom_site_type_symbol
_atom_site_fract_x
_atom_site_fract_y
_atom_site_fract_z
_atom_site_occupancy
Pb1 Pb 0.1456 0.1456 0.8990 1
Pb2 Pb 0.4748 0.4748 0.2689 1
Pb3 Pb 0.5252 0.5252 0.7311 1
Pb4 Pb 0.8544 0.8544 0.1010 1
O1 O 0.7474 0.2526 0.0000 1
O2 O 0.3563 0.9366 0.2523 1
O3 O 0.1109 0.1109 0.5707 1
O4 O 0.7113 0.7113 0.7124 1
O5 O 0.0634 0.6437 0.7477 1
O6 O 0.6437 0.0634 0.7477 1
O7 O 0.2887 0.2887 0.2876 1
O8 O 0.8891 0.8891 0.4293 1
O9 O 0.2526 0.7474 0.0000 1
O10 O 0.9366 0.3563 0.2523 1
S1 S 0.1724 0.1724 0.3430 1
S2 S 0.8276 0.8276 0.6570 1
```

Properties
Energy of formation (eV/atom): -1.835
Electronic total energy (Ry/atom): -0.437


4.
This record from Materials Project describes a relaxed Gd2SnAu2 crystal. The functional is PBE.

```
data_Gd2SnAu2
_chemical_formula_sum 'Gd4 Sn2 Au4'
_symmetry_space_group_name_H-M 'P 1'
_symmetry_Int_Tables_number 1
_cell_length_a 7.9327
_cell_length_b 7.9327
_cell_length_c 3.9095
_cell_angle_alpha 90.00
_cell_angle_beta 90.00
_cell_angle_gamma 90.00
loop_
_symmetry_equiv_pos_as_xyz
'x,y,z'
loop_
_atom_site_label
_atom_site_type_symbol
_atom_site_fract_x
_atom_site_fract_y
_atom_site_fract_z
_atom_site_occupancy
Sn1 Sn 0.5000 0.5000 0.0000 1
Sn2 Sn 0.0000 0.0000 0.0000 1
Gd1 Gd 0.3268 0.8268 0.5000 1
Gd2 Gd 0.1732 0.3268 0.5000 1
Gd3 Gd 0.8268 0.6732 0.5000 1
Gd4 Gd 0.6732 0.1732 0.5000 1
Au1 Au 0.1262 0.6262 0.0000 1
Au2 Au 0.3738 0.1262 0.0000 1
Au3 Au 0.6262 0.8738 0.0000 1
Au4 Au 0.8738 0.3738 0.0000 1
```

Properties
Energy of formation (eV/atom): -0.837
Electronic total energy (Ry/atom): -0.631


5.
This record from Materials Project describes a relaxed LiMg14TiO16 crystal. The functional is PBE.

```
data_LiMg14TiO16
_chemical_formula_sum 'Li1 Mg14 Ti1 O16'
_symmetry_space_group_name_H-M 'P 1'
_symmetry_Int_Tables_number 1
_cell_length_a 8.5361
_cell_length_b 8.5361
_cell_length_c 4.2421
_cell_angle_alpha 90.00
_cell_angle_beta 90.00
_cell_angle_gamma 90.00
loop_
_symmetry_equiv_pos_as_xyz
'x,y,z'
loop_
_atom_site_label
_atom_site_type_symbol
_atom_site_fract_x
_atom_site_fract_y
_atom_site_fract_z
_atom_site_occupancy
O1 O 0.5000 0.2403 0.0000 1
O2 O 0.5000 0.7597 0.0000 1
O3 O 0.0000 0.7575 0.0000 1
O4 O 0.2425 0.0000 0.0000 1
O5 O 0.5000 0.5000 0.5000 1
O6 O 0.0000 0.5000 0.5000 1
O7 O 0.7519 0.7519 0.5000 1
O8 O 0.7575 0.0000 0.0000 1
O9 O 0.0000 0.0000 0.5000 1
O10 O 0.7519 0.2481 0.5000 1
O11 O 0.2481 0.7519 0.5000 1
O12 O 0.5000 0.0000 0.5000 1
O13 O 0.2403 0.5000 0.0000 1
O14 O 0.2481 0.2481 0.5000 1
O15 O 0.0000 0.2425 0.0000 1
O16 O 0.7597 0.5000 0.0000 1
Mg1 Mg 0.2576 0.5000 0.5000 1
Mg2 Mg 0.5000 0.2576 0.5000 1
Mg3 Mg 0.7424 0.5000 0.5000 1
Mg4 Mg 0.7419 0.7419 0.0000 1
Mg5 Mg 0.0000 0.2559 0.5000 1
Mg6 Mg 0.2581 0.2581 0.0000 1
Mg7 Mg 0.7419 0.2581 0.0000 1
Mg8 Mg 0.0000 0.5000 0.0000 1
Mg9 Mg 0.5000 0.7424 0.5000 1
Mg10 Mg 0.7441 0.0000 0.5000 1
Mg11 Mg 0.5000 0.0000 0.0000 1
Mg12 Mg 0.0000 0.7441 0.5000 1
Mg13 Mg 0.2581 0.7419 0.0000 1
Mg14 Mg 0.2559 0.0000 0.5000 1
Ti1 Ti 0.0000 0.0000 0.0000 1
Li1 Li 0.5000 0.5000 0.0000 1
```

Properties
Total magnetization (μB/f.u.): 1.00
Energy of formation (eV/atom): -3.012
Offset from the most stable computed form (meV per atom): 6
Electronic total energy (Ry/atom): -0.452


6.
This record from Materials Project describes a relaxed Ta2S crystal. The functional is PBE.

```
data_Ta2S
_chemical_formula_sum 'Ta24 S12'
_symmetry_space_group_name_H-M 'P 1'
_symmetry_Int_Tables_number 1
_cell_length_a 5.6352
_cell_length_b 7.4033
_cell_length_c 15.3146
_cell_angle_alpha 90.00
_cell_angle_beta 90.00
_cell_angle_gamma 90.00
loop_
_symmetry_equiv_pos_as_xyz
'x,y,z'
loop_
_atom_site_label
_atom_site_type_symbol
_atom_site_fract_x
_atom_site_fract_y
_atom_site_fract_z
_atom_site_occupancy
Ta1 Ta 0.8719 0.3503 0.7500 1
Ta2 Ta 0.8965 0.7154 0.6550 1
Ta3 Ta 0.3965 0.2846 0.8450 1
Ta4 Ta 0.3719 0.6497 0.7500 1
Ta5 Ta 0.6035 0.7154 0.3450 1
Ta6 Ta 0.8976 0.0942 0.5892 1
Ta7 Ta 0.8965 0.7154 0.8450 1
Ta8 Ta 0.1024 0.9058 0.4108 1
Ta9 Ta 0.1281 0.6497 0.2500 1
Ta10 Ta 0.1314 0.0099 0.7500 1
Ta11 Ta 0.3976 0.9058 0.5892 1
Ta12 Ta 0.6314 0.9901 0.7500 1
Ta13 Ta 0.3686 0.0099 0.2500 1
Ta14 Ta 0.3965 0.2846 0.6550 1
Ta15 Ta 0.6035 0.7154 0.1550 1
Ta16 Ta 0.8976 0.0942 0.9108 1
Ta17 Ta 0.8686 0.9901 0.2500 1
Ta18 Ta 0.6024 0.0942 0.4108 1
Ta19 Ta 0.6281 0.3503 0.2500 1
Ta20 Ta 0.1024 0.9058 0.0892 1
Ta21 Ta 0.3976 0.9058 0.9108 1
Ta22 Ta 0.1035 0.2846 0.3450 1
Ta23 Ta 0.6024 0.0942 0.0892 1
Ta24 Ta 0.1035 0.2846 0.1550 1
S1 S 0.2500 0.1803 0.0000 1
S2 S 0.2500 0.1803 0.5000 1
S3 S 0.2683 0.5885 0.9029 1
S4 S 0.7317 0.4115 0.0971 1
S5 S 0.7683 0.4115 0.9029 1
S6 S 0.2683 0.5885 0.5971 1
S7 S 0.7317 0.4115 0.4029 1
S8 S 0.7500 0.8197 0.0000 1
S9 S 0.2317 0.5885 0.4029 1
S10 S 0.2317 0.5885 0.0971 1
S11 S 0.7500 0.8197 0.5000 1
S12 S 0.7683 0.4115 0.5971 1
```

Properties
Energy of formation (eV/atom): -0.773
Electronic total energy (Ry/atom): -0.727